[1]
## Zr6Al7Cu16H9 (PBE-GGA)

Data for a relaxed Zr6Al7Cu16H9 crystal.

```
Zr6Al7Cu16H9
1.0
0.0000 6.0517 6.0517
6.0517 0.0000 6.0517
6.0517 6.0517 0.0000
Zr Al Cu H
6 7 16 9
direct
0.2004 0.2004 0.7996
0.2004 0.7996 0.2004
0.2004 0.7996 0.7996
0.7996 0.2004 0.2004
0.7996 0.2004 0.7996
0.7996 0.7996 0.2004
0.0000 0.0000 0.5000
0.0000 0.5000 0.0000
0.0000 0.5000 0.5000
0.5000 0.0000 0.0000
0.5000 0.0000 0.5000
0.5000 0.5000 0.0000
0.5000 0.5000 0.5000
0.1421 0.6193 0.6193
0.1753 0.1753 0.1753
0.1753 0.1753 0.4741
0.1753 0.4741 0.1753
0.3807 0.3807 0.3807
0.3807 0.3807 0.8579
0.3807 0.8579 0.3807
0.4741 0.1753 0.1753
0.5259 0.8247 0.8247
0.6193 0.1421 0.6193
0.6193 0.6193 0.1421
0.6193 0.6193 0.6193
0.8247 0.5259 0.8247
0.8247 0.8247 0.5259
0.8247 0.8247 0.8247
0.8579 0.3807 0.3807
0.0000 0.0000 0.0000
0.0937 0.0937 0.0937
0.0937 0.0937 0.7190
0.0937 0.7190 0.0937
0.2810 0.9063 0.9063
0.7190 0.0937 0.0937
0.9063 0.2810 0.9063
0.9063 0.9063 0.2810
0.9063 0.9063 0.9063
```

Properties
energy of formation from the pure elements	-1297	kJ/mol of formula units
total energy	-4.8804	eV/atom
space group	Fm-3m


[2]
## Ca2Si3O11 (PBE-GGA)

Data for a relaxed Ca2Si3O11 crystal.

```
Ca2Si3O11
1.0
0.0000 22.7276 5.5515
3.7646 0.0000 5.5515
3.7646 22.7276 0.0000
Ca Si O
8 12 44
direct
0.0995 0.9005 0.1029
0.1471 0.3529 0.1505
0.3529 0.1471 0.3495
0.3889 0.5933 0.4032
0.5933 0.3889 0.6146
0.6354 0.8468 0.6567
0.8468 0.6354 0.8611
0.9005 0.0995 0.8971
0.0304 0.4569 0.1268
0.1232 0.8641 0.2196
0.1319 0.2022 0.7984
0.2022 0.1319 0.8674
0.2800 0.7077 0.3756
0.3826 0.4516 0.0478
0.4516 0.3826 0.1181
0.4569 0.0304 0.3859
0.6133 0.8744 0.5423
0.7077 0.2800 0.6367
0.8641 0.1232 0.7931
0.8744 0.6133 0.9700
0.0115 0.0115 0.4885
0.0126 0.4599 0.8923
0.0165 0.7142 0.7900
0.0207 0.3161 0.4831
0.0233 0.7358 0.2760
0.0562 0.9239 0.5773
0.0693 0.9821 0.0208
0.0698 0.7669 0.9339
0.1142 0.3607 0.9831
0.1881 0.1881 0.8119
0.2076 0.5223 0.9880
0.2267 0.5337 0.4729
0.2292 0.3222 0.1807
0.2620 0.9679 0.0424
0.2669 0.7080 0.1358
0.2850 0.9740 0.5142
0.3161 0.0207 0.1802
0.3222 0.2292 0.2679
0.3577 0.6147 0.2374
0.3607 0.1142 0.5420
0.4381 0.4381 0.0619
0.4584 0.5356 0.4444
0.4599 0.0126 0.6353
0.4600 0.7707 0.2335
0.4833 0.7771 0.7163
0.5223 0.2076 0.2821
0.5337 0.2267 0.7667
0.5356 0.4584 0.5616
0.6147 0.3577 0.7901
0.6727 0.8074 0.1938
0.6884 0.8056 0.7144
0.7080 0.2669 0.8893
0.7142 0.0165 0.4793
0.7358 0.0233 0.9650
0.7615 0.7615 0.2385
0.7669 0.0698 0.2293
0.7707 0.4600 0.5358
0.7771 0.4833 0.0233
0.8056 0.6884 0.7916
0.8074 0.6727 0.3261
0.9239 0.0562 0.4426
0.9679 0.2620 0.7277
0.9740 0.2850 0.2267
0.9821 0.0693 0.9278
```

Properties
energy of formation from the pure elements	-3711	kJ/mol of formula units
total energy	-6.6011	eV/atom
space group	Fdd2


Which of these has the highest total energy? Zr6Al7Cu16H9


Number 2 is which compound? Ca2Si3O11